[1]
Compound: Li2VCrP2H2O10
Source: the Materials Project database
Functional: GGA+U
Structure: optimized geometry

a = 6.949 Å, b = 7.381 Å, c = 7.974 Å
α = 91.03°, β = 92.71°, γ = 117.22°
Fractional coordinates of all 36 atoms:
Li 0.071 0.323 0.175
Li 0.427 0.678 0.326
Li 0.573 0.322 0.674
Li 0.929 0.677 0.825
V 0.000 0.000 0.500
V 0.500 0.500 0.000
Cr 0.000 0.500 0.500
Cr 0.500 0.000 0.000
P 0.021 0.733 0.158
P 0.482 0.267 0.342
P 0.518 0.733 0.658
P 0.979 0.267 0.842
H 0.209 0.837 0.651
H 0.291 0.159 0.849
H 0.709 0.841 0.151
H 0.791 0.163 0.349
O 0.034 0.119 0.739
O 0.056 0.772 0.607
O 0.115 0.620 0.274
O 0.177 0.842 0.020
O 0.187 0.426 0.941
O 0.311 0.572 0.559
O 0.325 0.157 0.480
O 0.387 0.380 0.227
O 0.443 0.223 0.895
O 0.466 0.881 0.762
O 0.534 0.119 0.238
O 0.557 0.777 0.105
O 0.613 0.620 0.773
O 0.675 0.843 0.520
O 0.689 0.428 0.441
O 0.813 0.574 0.059
O 0.823 0.158 0.980
O 0.885 0.380 0.726
O 0.944 0.228 0.393
O 0.966 0.881 0.261

Computed properties:
ΔE_f   -2.466 eV/atom
E (MP2020)   -7.45 eV per atom
E   -246.9 eV for the cell shown

[2]
Compound: Li2VCrP2H2O10
Source: the Materials Project database
Functional: GGA+U
Structure: optimized geometry

a = 5.166 Å, b = 7.388 Å, c = 15.159 Å
α = 94.11°, β = 92.08°, γ = 108.93°
Fractional coordinates of all 54 atoms:
Li 0.052 0.475 0.299
Li 0.282 0.857 0.034
Li 0.385 0.810 0.633
Li 0.615 0.190 0.367
Li 0.718 0.143 0.966
Li 0.948 0.525 0.701
V 0.000 0.500 0.500
V 0.333 0.333 0.834
V 0.667 0.667 0.166
Cr 0.000 0.000 0.500
Cr 0.334 0.833 0.833
Cr 0.666 0.167 0.167
P 0.110 0.055 0.287
P 0.223 0.278 0.047
P 0.442 0.387 0.620
P 0.558 0.613 0.380
P 0.777 0.722 0.953
P 0.890 0.945 0.713
H 0.006 0.484 0.147
H 0.327 0.849 0.186
H 0.340 0.822 0.480
H 0.660 0.178 0.520
H 0.673 0.151 0.814
H 0.994 0.516 0.853
O 0.009 0.855 0.235
O 0.049 0.846 0.917
O 0.107 0.840 0.720
O 0.144 0.290 0.949
O 0.155 0.544 0.817
O 0.176 0.793 0.516
O 0.191 0.045 0.385
O 0.226 0.493 0.613
O 0.287 0.489 0.416
O 0.324 0.479 0.098
O 0.341 0.187 0.568
O 0.382 0.179 0.250
O 0.440 0.173 0.054
O 0.478 0.625 0.281
O 0.488 0.877 0.150
O 0.512 0.123 0.850
O 0.522 0.375 0.719
O 0.560 0.827 0.946
O 0.618 0.821 0.750
O 0.659 0.813 0.432
O 0.676 0.521 0.902
O 0.713 0.511 0.584
O 0.774 0.507 0.387
O 0.809 0.955 0.615
O 0.824 0.207 0.484
O 0.845 0.456 0.183
O 0.856 0.710 0.051
O 0.893 0.160 0.280
O 0.951 0.154 0.083
O 0.991 0.145 0.765

Computed properties:
ΔE_f   -2.467 eV/atom
E (MP2020)   -7.45 eV per atom
E   -370.4 eV for the cell shown

[3]
Compound: LiVCrP2H2O10
Source: the Materials Project database
Functional: GGA+U
Structure: optimized geometry

a = 6.886 Å, b = 7.441 Å, c = 11.020 Å
α = 81.33°, β = 72.80°, γ = 89.38°
Fractional coordinates of all 51 atoms:
Li 0.000 0.000 0.000
Li 0.166 0.959 0.347
Li 0.500 0.623 0.680
V 0.080 0.979 0.675
V 0.422 0.646 0.007
V 0.747 0.313 0.342
Cr 0.250 0.313 0.840
Cr 0.584 0.980 0.173
Cr 0.918 0.643 0.506
P 0.197 0.239 0.141
P 0.301 0.387 0.541
P 0.531 0.906 0.475
P 0.634 0.054 0.873
P 0.866 0.570 0.807
P 0.970 0.719 0.206
H 0.206 0.640 0.858
H 0.295 0.983 0.824
H 0.559 0.311 0.179
H 0.608 0.646 0.169
H 0.873 0.974 0.523
H 0.943 0.313 0.501
O 0.008 0.743 0.792
O 0.022 0.223 0.270
O 0.057 0.724 0.318
O 0.110 0.235 0.028
O 0.145 0.732 0.076
O 0.164 0.211 0.559
O 0.177 0.555 0.527
O 0.180 0.060 0.812
O 0.318 0.067 0.160
O 0.321 0.565 0.868
O 0.336 0.411 0.122
O 0.355 0.893 0.605
O 0.391 0.388 0.653
O 0.440 0.916 0.363
O 0.479 0.391 0.414
O 0.491 0.883 0.889
O 0.512 0.224 0.862
O 0.517 0.732 0.138
O 0.648 0.732 0.492
O 0.651 0.225 0.210
O 0.676 0.074 0.458
O 0.687 0.566 0.933
O 0.727 0.041 0.985
O 0.774 0.585 0.695
O 0.813 0.056 0.746
O 0.829 0.547 0.224
O 0.850 0.891 0.186
O 0.852 0.399 0.470
O 0.988 0.400 0.818
O 0.988 0.898 0.534

Computed properties:
ΔE_f   -2.401 eV/atom
E (MP2020)   -7.56 eV per atom
E   -354.0 eV for the cell shown

[4]
Compound: LiVCrP2H2O10
Source: the Materials Project database
Functional: GGA+U
Structure: optimized geometry

a = 5.256 Å, b = 5.319 Å, c = 13.061 Å
α = 87.99°, β = 91.91°, γ = 98.48°
Fractional coordinates of all 34 atoms:
P 0.562 0.230 0.116
P 0.945 0.268 0.386
P 0.062 0.730 0.616
P 0.445 0.768 0.886
O 0.820 0.255 0.062
O 0.693 0.233 0.446
O 0.828 0.720 0.541
O 0.510 0.303 0.639
O 0.471 0.013 0.815
O 0.005 0.180 0.862
O 0.056 0.974 0.678
O 0.505 0.679 0.362
O 0.443 0.533 0.818
O 0.328 0.220 0.041
O 0.023 0.486 0.687
O 0.176 0.280 0.461
O 0.523 0.986 0.187
O 0.193 0.733 0.946
O 0.010 0.803 0.139
O 0.943 0.032 0.318
O 0.320 0.755 0.562
O 0.676 0.780 0.961
O 0.556 0.474 0.178
O 0.971 0.513 0.315
Cr 0.001 0.993 0.999
Cr 0.501 0.493 0.500
Li 0.128 0.507 0.067
Li 0.628 0.007 0.567
H 0.679 0.371 0.671
H 0.824 0.169 0.837
H 0.179 0.871 0.171
H 0.324 0.669 0.337
V 0.749 0.750 0.253
V 0.249 0.251 0.753

Computed properties:
ΔE_f   -2.405 eV/atom
E (MP2020)   -7.57 eV per atom
E   -236.1 eV for the cell shown